# HfVGe

An optimized crystal structure of HfVGe (PBE-GGA, Materials Project).

Unit cell a=3.726 b=3.726 c=14.430 alpha=90.00 beta=90.00 gamma=90.00
Positions (direct):
Hf: 0.000 0.000 0.177
Hf: 0.000 0.000 0.823
Hf: 0.500 0.500 0.323
Hf: 0.500 0.500 0.677
V: 0.000 0.500 0.000
V: 0.000 0.500 0.500
V: 0.500 0.000 0.000
V: 0.500 0.000 0.500
Ge: 0.000 0.000 0.372
Ge: 0.000 0.000 0.628
Ge: 0.500 0.500 0.128
Ge: 0.500 0.500 0.872

Output
SG	I4/mmm, No. 139
ΔH_f (0 K)	-0.608	eV per atom

---

# K4Hg3Ge20

An optimized crystal structure of K4Hg3Ge20 (PBE-GGA, Materials Project).

Unit cell a=11.113 b=11.113 c=11.113 alpha=90.00 beta=90.00 gamma=90.00
Positions (direct):
K: 0.000 0.000 0.000
K: 0.000 0.250 0.500
K: 0.000 0.750 0.500
K: 0.250 0.500 0.000
K: 0.500 0.000 0.250
K: 0.500 0.000 0.750
K: 0.500 0.500 0.500
K: 0.750 0.500 0.000
Hg: 0.000 0.500 0.250
Hg: 0.000 0.500 0.750
Hg: 0.250 0.000 0.500
Hg: 0.500 0.250 0.000
Hg: 0.500 0.750 0.000
Hg: 0.750 0.000 0.500
Ge: 0.000 0.301 0.113
Ge: 0.000 0.301 0.887
Ge: 0.000 0.699 0.113
Ge: 0.000 0.699 0.887
Ge: 0.113 0.000 0.301
Ge: 0.113 0.000 0.699
Ge: 0.183 0.183 0.183
Ge: 0.183 0.183 0.817
Ge: 0.183 0.817 0.183
Ge: 0.183 0.817 0.817
Ge: 0.199 0.500 0.387
Ge: 0.199 0.500 0.613
Ge: 0.301 0.113 0.000
Ge: 0.301 0.887 0.000
Ge: 0.317 0.317 0.317
Ge: 0.317 0.317 0.683
Ge: 0.317 0.683 0.317
Ge: 0.317 0.683 0.683
Ge: 0.387 0.199 0.500
Ge: 0.387 0.801 0.500
Ge: 0.500 0.387 0.199
Ge: 0.500 0.387 0.801
Ge: 0.500 0.613 0.199
Ge: 0.500 0.613 0.801
Ge: 0.613 0.199 0.500
Ge: 0.613 0.801 0.500
Ge: 0.683 0.317 0.317
Ge: 0.683 0.317 0.683
Ge: 0.683 0.683 0.317
Ge: 0.683 0.683 0.683
Ge: 0.699 0.113 0.000
Ge: 0.699 0.887 0.000
Ge: 0.801 0.500 0.387
Ge: 0.801 0.500 0.613
Ge: 0.817 0.183 0.183
Ge: 0.817 0.183 0.817
Ge: 0.817 0.817 0.183
Ge: 0.817 0.817 0.817
Ge: 0.887 0.000 0.301
Ge: 0.887 0.000 0.699

Output
SG	Pm-3n, No. 223
ΔH_f (0 K)	-0.096	eV per atom

---

# K2Hg3Ge2S8

An optimized crystal structure of K2Hg3Ge2S8 (PBE-GGA, Materials Project).

Unit cell a=19.665 b=6.553 c=6.553 alpha=96.90 beta=90.00 gamma=90.00
Positions (direct):
K: 0.115 0.198 0.802
K: 0.385 0.698 0.302
K: 0.615 0.302 0.698
K: 0.885 0.802 0.198
Hg: 0.000 0.372 0.372
Hg: 0.246 0.654 0.746
Hg: 0.254 0.154 0.246
Hg: 0.500 0.872 0.872
Hg: 0.746 0.246 0.154
Hg: 0.754 0.746 0.654
Ge: 0.137 0.721 0.303
Ge: 0.363 0.221 0.803
Ge: 0.637 0.803 0.221
Ge: 0.863 0.303 0.721
S: 0.040 0.598 0.141
S: 0.127 0.673 0.637
S: 0.133 0.058 0.261
S: 0.229 0.576 0.162
S: 0.271 0.076 0.662
S: 0.367 0.558 0.761
S: 0.373 0.173 0.137
S: 0.460 0.098 0.641
S: 0.540 0.641 0.098
S: 0.627 0.137 0.173
S: 0.633 0.761 0.558
S: 0.729 0.662 0.076
S: 0.771 0.162 0.576
S: 0.867 0.261 0.058
S: 0.873 0.637 0.673
S: 0.960 0.141 0.598

Output
MP2020-corrected energy	-114.88	eV per cell
SG	Aea2, No. 41
largest piezoelectric modulus	0.16	C/m²
ΔH_f (0 K)	-0.798	eV per atom

---

# K2Hg3Ge2S8

An optimized crystal structure of K2Hg3Ge2S8 (PBE-GGA, Materials Project).

Unit cell a=6.553 b=6.553 c=9.886 alpha=93.53 beta=93.53 gamma=83.26
Positions (direct):
K: 0.216 0.216 0.230
K: 0.784 0.784 0.770
Hg: 0.307 0.693 0.500
Hg: 0.626 0.374 0.000
Hg: 0.790 0.210 0.500
Ge: 0.254 0.280 0.725
Ge: 0.720 0.746 0.275
S: 0.309 0.614 0.741
S: 0.380 0.121 0.542
S: 0.386 0.691 0.259
S: 0.394 0.135 0.919
S: 0.756 0.082 0.261
S: 0.865 0.606 0.081
S: 0.879 0.620 0.458
S: 0.918 0.244 0.739

Output
MP2020-corrected energy	-57.44	eV per cell
SG	C2, No. 5
largest piezoelectric modulus	0.16	C/m²
ΔH_f (0 K)	-0.798	eV per atom

---

# K2Hg3Ge2Se8

An optimized crystal structure of K2Hg3Ge2Se8 (PBE-GGA, Materials Project).

Unit cell a=20.467 b=6.843 c=6.843 alpha=97.00 beta=90.00 gamma=90.00
Positions (direct):
K: 0.118 0.205 0.795
K: 0.382 0.705 0.295
K: 0.618 0.295 0.705
K: 0.882 0.795 0.205
Hg: 0.000 0.363 0.363
Hg: 0.245 0.655 0.748
Hg: 0.255 0.155 0.248
Hg: 0.500 0.863 0.863
Hg: 0.745 0.248 0.155
Hg: 0.755 0.748 0.655
Ge: 0.136 0.719 0.297
Ge: 0.364 0.219 0.797
Ge: 0.636 0.797 0.219
Ge: 0.864 0.297 0.719
Se: 0.037 0.594 0.127
Se: 0.123 0.673 0.637
Se: 0.132 0.062 0.251
Se: 0.230 0.567 0.152
Se: 0.270 0.067 0.652
Se: 0.368 0.562 0.751
Se: 0.377 0.173 0.137
Se: 0.463 0.094 0.627
Se: 0.537 0.627 0.094
Se: 0.623 0.137 0.173
Se: 0.632 0.751 0.562
Se: 0.730 0.652 0.067
Se: 0.770 0.152 0.567
Se: 0.868 0.251 0.062
Se: 0.877 0.637 0.673
Se: 0.963 0.127 0.594

Output
MP2020-corrected energy	-103.39	eV per cell
SG	Aea2, No. 41
largest piezoelectric modulus	0.14	C/m²
ΔH_f (0 K)	-0.757	eV per atom

---

# Hg2GeO2

An optimized crystal structure of Hg2GeO2 (PBE-GGA, Materials Project).

Unit cell a=12.472 b=12.162 c=7.609 alpha=74.24 beta=69.80 gamma=35.96
Positions (direct):
Hg: 0.117 0.248 0.764
Hg: 0.236 0.629 0.883
Hg: 0.248 0.117 0.371
Hg: 0.371 0.764 0.248
Hg: 0.629 0.236 0.752
Hg: 0.752 0.883 0.629
Hg: 0.764 0.371 0.117
Hg: 0.883 0.752 0.236
Ge: 0.000 0.000 0.000
Ge: 0.000 0.000 0.500
Ge: 0.000 0.500 0.000
Ge: 0.500 0.000 0.000
O: 0.040 0.831 0.515
O: 0.114 0.515 0.831
O: 0.169 0.960 0.886
O: 0.485 0.886 0.960
O: 0.515 0.114 0.040
O: 0.831 0.040 0.114
O: 0.886 0.485 0.169
O: 0.960 0.169 0.485

Output
MP2020-corrected energy	-71.24	eV per cell
SG	Fddd, No. 70
ΔH_f (0 K)	-0.537	eV per atom

---

# Hg2GeO4

An optimized crystal structure of Hg2GeO4 (PBE-GGA, Materials Project).

Unit cell a=6.559 b=6.559 c=6.734 alpha=104.89 beta=104.89 gamma=118.18
Positions (direct):
Hg: 0.000 0.000 0.000
Hg: 0.124 0.884 0.506
Hg: 0.370 0.628 0.997
Hg: 0.760 0.259 0.500
Ge: 0.442 0.576 0.498
Ge: 0.697 0.320 0.007
O: 0.278 0.600 0.665
O: 0.308 0.238 0.340
O: 0.355 0.190 0.828
O: 0.412 0.736 0.341
O: 0.721 0.153 0.160
O: 0.775 0.704 0.676
O: 0.818 0.656 0.166
O: 0.852 0.285 0.842

Output
MP2020-corrected energy	-67.52	eV per cell
SG	P1, No. 1
ΔH_f (0 K)	-1.249	eV per atom

---

# HgGeO3

An optimized crystal structure of HgGeO3 (PBE-GGA, Materials Project).

Unit cell a=3.820 b=3.820 c=3.820 alpha=90.00 beta=90.00 gamma=90.00
Positions (direct):
Hg: 0.000 0.000 0.000
Ge: 0.500 0.500 0.500
O: 0.000 0.500 0.500
O: 0.500 0.000 0.500
O: 0.500 0.500 0.000

Output
MP2020-corrected energy	-25.64	eV per cell
SG	Pm-3m, No. 221
ΔH_f (0 K)	-1.174	eV per atom

---

# Rb8Hg3Ge43

An optimized crystal structure of Rb8Hg3Ge43 (PBE-GGA, Materials Project).

Unit cell a=11.127 b=11.127 c=11.127 alpha=90.01 beta=90.01 gamma=90.01
Positions (direct):
Rb: 0.000 0.250 0.750
Rb: 0.250 0.250 0.250
Rb: 0.250 0.750 0.000
Rb: 0.250 0.750 0.500
Rb: 0.500 0.250 0.750
Rb: 0.750 0.000 0.250
Rb: 0.750 0.500 0.250
Rb: 0.750 0.750 0.750
Hg: 0.250 0.500 0.750
Hg: 0.500 0.750 0.250
Hg: 0.750 0.250 0.500
Ge: 0.000 0.750 0.250
Ge: 0.054 0.634 0.750
Ge: 0.054 0.868 0.750
Ge: 0.066 0.066 0.066
Ge: 0.066 0.066 0.434
Ge: 0.066 0.434 0.066
Ge: 0.067 0.433 0.433
Ge: 0.132 0.554 0.250
Ge: 0.132 0.946 0.250
Ge: 0.250 0.000 0.750
Ge: 0.250 0.132 0.554
Ge: 0.250 0.132 0.946
Ge: 0.250 0.366 0.946
Ge: 0.250 0.367 0.553
Ge: 0.366 0.946 0.250
Ge: 0.367 0.553 0.250
Ge: 0.432 0.432 0.432
Ge: 0.433 0.067 0.433
Ge: 0.433 0.433 0.067
Ge: 0.434 0.066 0.066
Ge: 0.446 0.868 0.750
Ge: 0.447 0.633 0.750
Ge: 0.553 0.250 0.367
Ge: 0.554 0.250 0.132
Ge: 0.566 0.934 0.934
Ge: 0.567 0.567 0.933
Ge: 0.567 0.933 0.567
Ge: 0.568 0.568 0.568
Ge: 0.633 0.750 0.447
Ge: 0.634 0.750 0.054
Ge: 0.750 0.054 0.634
Ge: 0.750 0.054 0.868
Ge: 0.750 0.250 0.000
Ge: 0.750 0.446 0.868
Ge: 0.750 0.447 0.633
Ge: 0.868 0.750 0.054
Ge: 0.868 0.750 0.446
Ge: 0.933 0.567 0.567
Ge: 0.934 0.566 0.934
Ge: 0.934 0.934 0.566
Ge: 0.934 0.934 0.934
Ge: 0.946 0.250 0.132
Ge: 0.946 0.250 0.366

Output
SG	R32, No. 155
ΔH_f (0 K)	-0.103	eV per atom

---

# Ho2Ge3

An optimized crystal structure of Ho2Ge3 (PBE-GGA, Materials Project).

Unit cell a=4.395 b=4.395 c=6.988 alpha=90.00 beta=90.00 gamma=120.00
Positions (direct):
Ho: 0.000 0.000 0.231
Ho: 0.000 0.000 0.769
Ge: 0.333 0.667 0.500
Ge: 0.667 0.333 0.000
Ge: 0.667 0.333 0.500

Output
SG	P-6m2, No. 187
ΔH_f (0 K)	-0.474	eV per atom

---

# HoGe

An optimized crystal structure of HoGe (PBE-GGA, Materials Project).

Unit cell a=4.274 b=10.692 c=3.946 alpha=90.00 beta=90.00 gamma=90.00
Positions (direct):
Ho: 0.000 0.138 0.250
Ho: 0.000 0.862 0.750
Ho: 0.500 0.362 0.750
Ho: 0.500 0.638 0.250
Ge: 0.000 0.414 0.250
Ge: 0.000 0.586 0.750
Ge: 0.500 0.086 0.750
Ge: 0.500 0.914 0.250

Output
SG	Cmcm, No. 63
ΔH_f (0 K)	-0.862	eV per atom

---

# Ho3Ge5

An optimized crystal structure of Ho3Ge5 (PBE-GGA, Materials Project).

Unit cell a=11.055 b=7.465 c=9.115 alpha=83.00 beta=42.08 gamma=54.92
Positions (direct):
Ho: 0.000 0.000 0.000
Ho: 0.250 0.250 0.250
Ho: 0.311 0.674 0.352
Ho: 0.586 0.898 0.576
Ho: 0.674 0.311 0.664
Ho: 0.898 0.586 0.939
Ge: 0.072 0.753 0.255
Ge: 0.220 0.471 0.911
Ge: 0.330 0.995 0.497
Ge: 0.339 0.853 0.030
Ge: 0.471 0.220 0.397
Ge: 0.547 0.547 0.453
Ge: 0.753 0.072 0.920
Ge: 0.797 0.797 0.703
Ge: 0.853 0.339 0.779
Ge: 0.995 0.330 0.178

Output
SG	Fdd2, No. 43
ΔH_f (0 K)	-0.695	eV per atom